(1)
The following is a GGA-PBE calculation of Zr2Sn after structural relaxation, from the Materials Project database.

POSCAR file:
```
Zr2Sn
1.0
5.355 0.000 0.000
0.000 8.393 0.000
0.000 2.239 12.497
Zr Sn
16 8
Cartesian
1.339 7.976 0.868
1.339 2.552 1.933
4.017 3.341 0.220
4.017 1.382 5.403
4.017 8.080 10.564
4.017 0.655 2.315
4.017 2.656 11.629
1.339 9.976 10.181
1.339 3.176 4.966
4.017 2.088 8.482
4.017 4.415 6.379
4.017 7.455 7.531
1.339 7.290 12.276
1.339 6.217 6.117
1.339 9.249 7.093
1.339 8.543 4.015
1.339 3.762 7.951
4.017 6.289 1.013
4.017 5.049 9.555
1.339 7.002 9.183
1.339 5.583 2.942
4.017 6.870 4.546
1.339 4.343 11.484
4.017 3.629 3.314
```


(2)
The following is a GGA-PBE calculation of Ce2In3Ru2 after structural relaxation, from the Materials Project database.

POSCAR file:
```
Ce2In3Ru2
1.0
-2.542 3.878 0.823
-6.312 -3.830 -1.449
-1.234 -4.437 17.104
In Ru Ce
12 8 8
Cartesian
-6.193 -2.524 -0.499
-3.124 -1.223 2.855
-3.895 -1.865 16.976
-7.711 -1.774 4.758
-4.358 -1.554 14.077
-3.984 0.517 5.469
-5.244 -3.792 8.413
-4.844 -0.597 8.065
-6.104 -4.906 11.009
-2.378 -2.615 11.720
-5.730 -2.835 2.401
-6.964 -3.166 13.623
-5.739 -0.196 3.409
-1.408 -0.564 5.050
-7.765 -4.218 16.109
-2.800 -2.304 8.953
-2.323 -0.171 0.369
-7.289 -2.085 7.525
-4.350 -4.193 13.069
-8.681 -3.825 11.428
-5.489 0.456 1.109
-4.599 -4.845 15.369
-4.625 -2.757 5.446
-7.605 -6.409 13.456
-2.483 2.020 3.022
-8.595 -3.273 9.090
-5.463 -1.632 11.032
-1.493 -1.116 7.388
```


(3)
The following is a GGA-PBE calculation of LiCd2Ni after structural relaxation, from the Materials Project database.

Properties
distance to the lowest polymorph of the same formula = 0 meV/atom

POSCAR file:
```
LiCd2Ni
1.0
2.619 0.268 3.672
2.322 3.783 0.847
-1.204 2.666 3.444
Cd Li Ni
2 1 1
Cartesian
2.803 5.038 5.973
0.934 1.679 1.991
1.869 3.359 3.982
0.000 0.000 0.000
```


(4)
The following is a GGA-PBE calculation of CaBPd3 after structural relaxation, from the Materials Project database.

POSCAR file:
```
CaBPd3
1.0
4.310 0.000 0.000
0.000 4.310 0.000
0.000 0.000 4.310
Pd B Ca
3 1 1
Cartesian
2.155 0.000 0.000
0.000 0.000 2.155
0.000 2.155 0.000
0.000 0.000 0.000
2.155 2.155 2.155
```


| no. | mass density (g/cm³) | ΔH_f (0 K) (eV/f.u.) |
| --- | --- | --- |
| 1 | 7.12 | -0.59 |
| 2 | 8.75 | -3.05 |
| 3 | 7.39 | -0.56 |
| 4 | 7.68 | -2.80 |